[1]
The following is a GGA+U calculation of a relaxed structure of Li10Cr2Fe3Co3O16, from the Materials Project.

a = 5.9866 Å, b = 5.9714 Å, c = 9.8465 Å
α = 89.97°, β = 90.07°, γ = 119.95°
With the nearest neighbours (Å) after each atom.
Atoms (fractional coordinates):
Li 0.1919 0.8010 0.0465  3 O 1.95-2.03, 1 Li 2.18
Li 0.5997 0.7966 0.0476  3 O 1.94-2.03, 1 Li 2.15
Li 0.3326 0.6739 0.2687  6 O 2.12-2.23
Li 0.9921 0.0011 0.9774  4 O 1.87-1.91
Li 0.9932 0.0102 0.4793  4 O 1.87-1.91
Li 0.1883 0.3858 0.0505  3 O 1.93-2.07, 1 Li 2.12
Li 0.8081 0.6201 0.5509  3 O 1.96-2.10, 1 Li 2.14
Li 0.7955 0.2015 0.5471  3 O 1.93-2.02, 1 Li 2.12
Li 0.3859 0.1876 0.5511  3 O 1.96-2.07, 1 Li 2.16
Li 0.6620 0.3387 0.7693  6 O 2.13-2.19
Cr 0.6579 0.3399 0.0229  6 O 2.04-2.12
Cr 0.3339 0.6769 0.5233  6 O 2.05-2.12
Fe 0.1632 0.3411 0.7785  6 O 2.03-2.11
Fe 0.3344 0.1772 0.2809  6 O 2.04-2.10
Fe 0.8276 0.1786 0.2780  6 O 2.04-2.10
Co 0.1652 0.8353 0.7813  6 O 2.09-2.20
Co 0.8289 0.6728 0.2821  6 O 2.09-2.19
Co 0.6539 0.8355 0.7809  6 O 1.99-2.10
O 0.1761 0.8561 0.4086  1 Li 1.88, 1 Cr 2.08, 1 Fe 2.08
O 0.4967 0.9810 0.6563  3 Li 1.93-2.16, 2 Co 1.99-2.12, 1 Cr 2.05
O 0.3279 0.6630 0.8995  3 Li 2.03-2.07, 1 Fe 2.05, 2 Co 2.06-2.09
O 0.0192 0.5107 0.6518  2 Li 1.95-1.96, 1 Fe 2.05, 1 Cr 2.07, 1 Co 2.11
O 0.9931 0.0074 0.6694  1 Li 1.87, 1 Fe 2.03, 2 Co 2.07-2.09
O 0.0011 0.0167 0.1687  1 Li 1.89, 2 Fe 2.04-2.05, 1 Co 2.10
O 0.6618 0.8526 0.4031  1 Li 1.88, 1 Cr 2.07, 1 Fe 2.09
O 0.4834 0.5106 0.6529  3 Li 1.99-2.15, 1 Fe 2.07, 1 Cr 2.07, 1 Co 2.10
O 0.8102 0.6692 0.9030  1 Li 1.87, 1 Co 2.06, 1 Cr 2.07
O 0.1635 0.3450 0.3977  2 Li 1.91-2.12, 2 Fe 2.10, 1 Cr 2.12
O 0.4991 0.4872 0.1538  3 Li 1.93-2.15, 1 Fe 2.04, 1 Cr 2.04, 1 Co 2.13
O 0.9724 0.4891 0.1504  2 Li 1.95, 1 Fe 2.04, 1 Cr 2.06, 1 Co 2.14
O 0.6602 0.3351 0.3986  3 Li 2.02-2.10, 2 Fe 2.05-2.06, 1 Co 2.09
O 0.3265 0.1761 0.9039  1 Li 1.88, 1 Cr 2.08, 1 Fe 2.10
O 0.5047 0.0250 0.1541  3 Li 1.98-2.14, 2 Fe 2.07-2.09, 1 Cr 2.08
O 0.8269 0.1734 0.8994  2 Li 1.91-2.13, 1 Co 2.10, 1 Fe 2.11, 1 Cr 2.12

calculated formation energy = -63.25 eV/f.u.
DFT total energy = -5.91 eV per atom
energy above the lowest structure with this stoichiometry = 2.1 kJ/mol of atoms
theoretical density = 4.21 g cm⁻³



[2]
The following is a GGA+U calculation of a relaxed structure of KNaW2O6, from the Materials Project.

a = 4.0075 Å, b = 4.0075 Å, c = 7.9559 Å
α = 90.00°, β = 90.00°, γ = 90.00°
With the nearest neighbours (Å) after each atom.
Atoms (fractional coordinates):
K 0.5000 0.5000 0.5000  12 O 2.83-2.84
Na 0.5000 0.5000 0.0000  12 O 2.81-2.83
W 0.0000 0.0000 0.2487  6 O 1.98-2.00
W 0.0000 0.0000 0.7513  6 O 1.98-2.00
O 0.5000 0.0000 0.2472  2 W 2.00
O 0.5000 0.0000 0.7528  2 W 2.00
O 0.0000 0.5000 0.2472  2 W 2.00
O 0.0000 0.5000 0.7528  2 W 2.00
O 0.0000 0.0000 0.5000  2 W 2.00
O 0.0000 0.0000 0.0000  2 W 1.98

calculated formation energy = -21.28 eV/f.u.
DFT total energy = -6.63 eV per atom
theoretical density = 6.83 g cm⁻³